# NbCl4F

A relaxed NbCl4F crystal (GGA-PBE, Materials Project).

Calculated values
For the formation energy, the calculation gives -1675.2 meV per atom.

abc: 8.440 9.486 10.228
angles: 77.21 67.39 69.32
Fractional coordinates of all 24 atoms:
Nb 0.012 0.297 0.271
Nb 0.240 0.236 0.828
Nb 0.760 0.764 0.172
Nb 0.988 0.703 0.729
Cl 0.035 0.792 0.143
Cl 0.121 0.647 0.498
Cl 0.152 0.047 0.315
Cl 0.238 0.741 0.744
Cl 0.263 0.375 0.226
Cl 0.358 0.217 0.589
Cl 0.364 0.990 0.900
Cl 0.462 0.325 0.834
Cl 0.538 0.675 0.166
Cl 0.636 0.010 0.100
Cl 0.642 0.783 0.411
Cl 0.737 0.625 0.774
Cl 0.762 0.259 0.256
Cl 0.848 0.953 0.685
Cl 0.879 0.353 0.502
Cl 0.965 0.208 0.857
F 0.106 0.472 0.795
F 0.116 0.282 0.047
F 0.884 0.718 0.953
F 0.894 0.528 0.205

# BaTiSi3O9

A relaxed BaTiSi3O9 crystal (GGA-PBE, Materials Project).

Calculated values
For the maximum piezoelectric response, the calculation gives 0.1 C/m². For the formation energy, the calculation gives -3385.3 meV per atom. The calculation puts the spin magnetization at 0.0 μB per formula unit.

abc: 6.724 6.724 9.900
angles: 90.00 90.00 120.00
Fractional coordinates of all 28 atoms:
Ba 0.000 0.000 0.000
Ba 0.000 0.000 0.500
Ti 0.667 0.333 0.000
Ti 0.667 0.333 0.500
Si 0.045 0.449 0.250
Si 0.045 0.596 0.750
Si 0.404 0.449 0.750
Si 0.404 0.955 0.250
Si 0.551 0.596 0.250
Si 0.551 0.955 0.750
O 0.141 0.412 0.750
O 0.141 0.728 0.250
O 0.272 0.412 0.250
O 0.272 0.859 0.750
O 0.422 0.096 0.113
O 0.422 0.096 0.387
O 0.422 0.325 0.613
O 0.422 0.325 0.887
O 0.588 0.728 0.750
O 0.588 0.859 0.250
O 0.675 0.096 0.613
O 0.675 0.096 0.887
O 0.675 0.578 0.113
O 0.675 0.578 0.387
O 0.904 0.325 0.113
O 0.904 0.325 0.387
O 0.904 0.578 0.613
O 0.904 0.578 0.887